No. 1
# Ca2TeWO6 | Materials Project | PBE+U | optimized geometry
# Energy above the most stable polymorph in this dataset (eV per atom): 0.000
# Energy of formation (meV per atom): -2423
# Mass density (g/cm³): 4.95
data_Ca2TeWO6
_chemical_formula_sum 'Ca2 Te1 W1 O6'
_cell_length_a 5.6016
_cell_length_b 5.9220
_cell_length_c 6.0280
_cell_angle_alpha 69.14
_cell_angle_beta 66.37
_cell_angle_gamma 66.77
_symmetry_space_group_name_H-M 'P 1'
_symmetry_Int_Tables_number 1
loop_
_symmetry_equiv_pos_as_xyz
'x,y,z'
loop_
_atom_site_label
_atom_site_fract_x
_atom_site_fract_y
_atom_site_fract_z
Ca1 0.0000 0.0000 0.0000
Ca2 0.4702 0.5586 0.5663
Te1 0.2442 0.2836 0.3194
W1 0.7852 0.8914 0.6120
O1 0.0034 0.6554 0.8003
O2 0.1730 0.9625 0.3441
O3 0.4538 0.8245 0.7873
O4 0.6330 0.2025 0.3190
O5 0.7247 0.1674 0.7372
O6 0.8533 0.7110 0.3691


No. 2
# Ca4Te3W5O18 | Materials Project | PBE+U | optimized geometry
# Energy of formation (meV per atom): -2090
# Mass density (g/cm³): 5.87
data_Ca4Te3W5O18
_chemical_formula_sum 'Ca16 Te12 W20 O72'
_cell_length_a 17.1734
_cell_length_b 11.4870
_cell_length_c 10.0359
_cell_angle_alpha 90.00
_cell_angle_beta 91.04
_cell_angle_gamma 90.00
_symmetry_space_group_name_H-M 'C 1 2 1'
_symmetry_Int_Tables_number 5
loop_
_symmetry_equiv_pos_as_xyz
'x,y,z'
'-x,y,-z'
'x+1/2,y+1/2,z'
'-x+1/2,y+1/2,-z'
loop_
_atom_site_label
_atom_site_fract_x
_atom_site_fract_y
_atom_site_fract_z
Ca1 0.0008 0.0000 0.3127
Ca2 0.0051 0.5293 0.8055
Ca3 0.2034 0.1305 0.1331
Ca4 0.2078 0.3846 0.6334
Te1 0.0028 0.2672 0.7415
Te2 0.0759 0.7273 0.5500
Te3 0.0757 0.7985 0.0511
W1 0.0000 0.1028 0.0000
W2 0.0000 0.4228 0.5000
W3 0.1683 0.5699 0.2845
W4 0.1694 0.9490 0.7896
W5 0.1768 0.4119 0.0127
W6 0.1777 0.1050 0.5158
O1 0.0706 0.1096 0.1661
O2 0.0764 0.4167 0.6609
O3 0.0797 0.5315 0.4127
O4 0.0814 0.9936 0.9193
O5 0.0865 0.6751 0.2006
O6 0.0862 0.8466 0.7043
O7 0.0931 0.0152 0.4655
O8 0.0959 0.5059 0.9580
O9 0.1293 0.4337 0.1951
O10 0.1313 0.0862 0.7001
O11 0.1405 0.2658 0.9846
O12 0.1451 0.2518 0.4850
O13 0.2318 0.6902 0.3658
O14 0.2336 0.8271 0.8663
O15 0.2402 0.0746 0.3700
O16 0.2426 0.4382 0.8697
O17 0.2433 0.5526 0.1169
O18 0.2439 0.9657 0.6221


No. 3
# Ca2TeWO6 | Materials Project | PBE+U | optimized geometry
# Energy above the most stable polymorph in this dataset (eV per atom): 0.087
# Energy of formation (meV per atom): -2336
# Mass density (g/cm³): 5.76
data_Ca2TeWO6
_chemical_formula_sum 'Ca4 Te2 W2 O12'
_cell_length_a 5.7425
_cell_length_b 6.1699
_cell_length_c 9.3867
_cell_angle_alpha 90.00
_cell_angle_beta 122.35
_cell_angle_gamma 90.00
_symmetry_space_group_name_H-M 'P 1 21/c 1'
_symmetry_Int_Tables_number 14
loop_
_symmetry_equiv_pos_as_xyz
'x,y,z'
'-x,-y,-z'
'-x,y+1/2,-z+1/2'
'x,-y+1/2,z+1/2'
loop_
_atom_site_label
_atom_site_fract_x
_atom_site_fract_y
_atom_site_fract_z
Ca1 0.2231 0.0217 0.2344
Te1 0.0000 0.0000 0.5000
W1 0.5000 0.0000 0.0000
O1 0.1843 0.1145 0.7810
O2 0.2181 0.6712 0.5201
O3 0.4730 0.2261 0.1251


No. 4
# CaTi3V5O16 | Materials Project | PBE+U | optimized geometry
# Energy above the most stable polymorph in this dataset (eV per atom): 0.003
# Energy of formation (meV per atom): -2851
# Mass density (g/cm³): 3.92
data_CaTi3V5O16
_chemical_formula_sum 'Ca1 Ti3 V5 O16'
_cell_length_a 6.0439
_cell_length_b 6.0553
_cell_length_c 9.2590
_cell_angle_alpha 88.96
_cell_angle_beta 89.03
_cell_angle_gamma 60.15
_symmetry_space_group_name_H-M 'P 1'
_symmetry_Int_Tables_number 1
loop_
_symmetry_equiv_pos_as_xyz
'x,y,z'
loop_
_atom_site_label
_atom_site_fract_x
_atom_site_fract_y
_atom_site_fract_z
Ca1 0.0000 0.0000 0.0000
Ti1 0.0127 0.5027 0.8185
Ti2 0.7997 0.3432 0.3464
Ti3 0.8463 0.8106 0.3486
V1 0.0139 0.0116 0.6025
V2 0.3378 0.3307 0.1273
V3 0.3397 0.8435 0.3421
V4 0.5020 0.0018 0.8332
V5 0.5051 0.5053 0.8322
O1 0.0071 0.5070 0.2394
O2 0.1351 0.7282 0.4738
O3 0.1453 0.1462 0.4817
O4 0.2052 0.6008 0.9580
O5 0.2095 0.1929 0.9583
O6 0.3208 0.8457 0.7421
O7 0.3335 0.3415 0.7239
O8 0.4988 0.5061 0.2384
O9 0.5143 0.0091 0.2417
O10 0.6027 0.2036 0.9593
O11 0.6679 0.6690 0.9320
O12 0.6833 0.6597 0.4515
O13 0.7172 0.1519 0.4765
O14 0.8413 0.8508 0.7413
O15 0.8417 0.3273 0.7414
O16 0.9903 0.0225 0.2377